[1]
Compound: Zr2N2O
Source: the Materials Project database
Functional: PBE
Structure: optimized geometry

abc: 8.5290 3.1571 8.6060
angles: 90.00 90.30 90.00
Space group Pm (No. 6)
Unique sites:
Zr1 0.0000 0.0000 0.0000 (multiplicity 1)
Zr2 0.0007 0.5000 0.3641 (multiplicity 1)
Zr3 0.1871 0.0000 0.6773 (multiplicity 1)
Zr4 0.3222 0.0000 0.1795 (multiplicity 1)
Zr5 0.5018 0.5000 0.8732 (multiplicity 1)
Zr6 0.5088 0.0000 0.4956 (multiplicity 1)
Zr7 0.6818 0.5000 0.1955 (multiplicity 1)
Zr8 0.8301 0.5000 0.6833 (multiplicity 1)
N1 0.0611 0.5000 0.8070 (multiplicity 1)
N2 0.1346 0.5000 0.1327 (multiplicity 1)
N3 0.3761 0.5000 0.6417 (multiplicity 1)
N4 0.4441 0.5000 0.3084 (multiplicity 1)
N5 0.5568 0.0000 0.0591 (multiplicity 1)
N6 0.6978 0.5000 0.4539 (multiplicity 1)
N7 0.8723 0.0000 0.2248 (multiplicity 1)
N8 0.9482 0.0000 0.5599 (multiplicity 1)
O1 0.1934 0.0000 0.4114 (multiplicity 1)
O2 0.3174 0.0000 0.9083 (multiplicity 1)
O3 0.6373 0.0000 0.7329 (multiplicity 1)
O4 0.8040 0.5000 0.9469 (multiplicity 1)

Calculated values
Total DFT energy (no corrections): -9.69 eV/atom



[2]
Compound: AcDy3
Source: the Materials Project database
Functional: PBE
Structure: optimized geometry

abc: 5.2024 5.2024 10.2641
angles: 90.00 90.00 90.00
Space group I4/mmm (No. 139)
Unique sites:
Ac1 0.0000 0.0000 0.0000 (multiplicity 2)
Dy1 0.0000 0.0000 0.5000 (multiplicity 2)
Dy2 0.0000 0.5000 0.2500 (multiplicity 4)

Calculated values
Energy above the most stable polymorph in this dataset: 9 meV per atom



[3]
Compound: BaPrO3
Source: the Materials Project database
Functional: PBE
Structure: optimized geometry

abc: 6.4292 9.1381 6.4631
angles: 90.00 90.00 90.00
Space group Imma (No. 74)
Unique sites:
Ba1 0.0000 0.2500 0.0192 (multiplicity 4)
Pr1 0.0000 0.0000 0.5000 (multiplicity 4)
O1 0.0000 0.2500 0.6012 (multiplicity 4)
O2 0.2500 0.0607 0.2500 (multiplicity 8)

Calculated values
Total DFT energy (no corrections): -6.87 eV/atom



[4]
Compound: LiB11
Source: the Materials Project database
Functional: PBE
Structure: optimized geometry

abc: 4.8249 4.8249 13.0127
angles: 90.00 90.00 120.00
Space group R3m (No. 160, hexagonal axes)
Unique sites:
Li1 0.0000 0.0000 0.0000 (multiplicity 3)
B1 0.0000 0.0000 0.4314 (multiplicity 3)
B2 0.0000 0.0000 0.6854 (multiplicity 3)
B3 0.0692 0.5346 0.9840 (multiplicity 9)
B4 0.2064 0.4127 0.4623 (multiplicity 9)
B5 0.2136 0.4273 0.8748 (multiplicity 9)

Calculated values
Energy above the most stable polymorph in this dataset: 0 meV per atom



[5]
Compound: MgI2O6
Source: the Materials Project database
Functional: PBE
Structure: optimized geometry

abc: 6.7202 11.0557 8.3720
angles: 90.00 118.05 90.00
Space group P2_1/c (No. 14)
Unique sites:
Mg1 0.1351 0.0967 0.4379 (multiplicity 4)
I1 0.2236 0.0818 0.9681 (multiplicity 4)
I2 0.3545 0.7074 0.0727 (multiplicity 4)
O1 0.0180 0.5363 0.3325 (multiplicity 4)
O2 0.0474 0.2193 0.8996 (multiplicity 4)
O3 0.1470 0.5818 0.0177 (multiplicity 4)
O4 0.3682 0.1022 0.8301 (multiplicity 4)
O5 0.4142 0.1143 0.4069 (multiplicity 4)
O6 0.4457 0.7183 0.3153 (multiplicity 4)

Calculated values
Total DFT energy (no corrections): -4.71 eV/atom



[6]
Compound: NaDyCl4
Source: the Materials Project database
Functional: PBE
Structure: optimized geometry

abc: 6.6949 6.7861 7.0792
angles: 89.61 88.07 78.47
Space group P-1 (No. 2)
Unique sites:
Na1 0.2313 0.1980 0.0355 (multiplicity 2)
Dy1 0.2109 0.7002 0.4453 (multiplicity 2)
Cl1 0.0469 0.5034 0.7400 (multiplicity 2)
Cl2 0.0953 0.0020 0.7050 (multiplicity 2)
Cl3 0.3875 0.7925 0.1350 (multiplicity 2)
Cl4 0.4333 0.3148 0.3826 (multiplicity 2)

Calculated values
Total DFT energy (no corrections): -4.34 eV/atom